# 1
This record from the Materials Project describes a geometry-optimized Sm3Tm structure. The functional is meta-GGA r2SCAN.

Geometry as extended XYZ:
```
4
Lattice="4.5184 -4.2603 -0.1800 4.8937 2.0825 3.2115 -6.0203 -0.4312 1.4727" Properties=species:S:1:pos:R:3 pbc="T T T"
Sm 1.6020 -2.8902 1.4042
Sm 1.7897 0.2812 3.0999
Sm 4.7060 -1.0889 1.5157
Tm 0.0000 0.0000 0.0000
```

Space group ... I4/mmm
E_form ... 0.032 eV/atom
V ... 131.3 Å³/cell
Excess energy over the best structure of this formula in the dataset ... 21 meV per atom

# 2
This record from the Materials Project describes a geometry-optimized SmTm3 structure. The functional is meta-GGA r2SCAN.

Geometry as extended XYZ:
```
4
Lattice="4.9853 0.0000 0.0000 0.0000 4.9853 0.0000 0.0000 0.0000 4.9853" Properties=species:S:1:pos:R:3 pbc="T T T"
Sm 0.0000 0.0000 0.0000
Tm 0.0000 2.4926 2.4926
Tm 2.4926 0.0000 2.4926
Tm 2.4926 2.4926 0.0000
```

Space group ... Pm-3m
E_form ... 0.050 eV/atom
V ... 123.9 Å³/cell
Excess energy over the best structure of this formula in the dataset ... 41 meV per atom